Entry from the Materials Project database: an optimized crystal structure of Ga2Si4Mo3 (PBE).

a = 4.7375 Å, b = 4.7373 Å, c = 6.5713 Å
α = 89.81°, β = 90.19°, γ = 59.93°
With the nearest neighbours (Å) after each atom.
Fractional coordinates of all 9 atoms:
Mo: 0.4968 0.9974 0.6576  6 Si 2.53-2.76, 4 Ga 2.62-2.76
Si: 0.8413 0.3243 0.6652  1 Si 2.55, 4 Ga 2.57-2.78, 5 Mo 2.58-2.76
Si: 0.1595 0.1596 0.3334  5 Mo 2.53-2.82, 5 Si 2.55-2.79
Ga: 0.1629 0.6693 0.6702  5 Si 2.57-2.78, 5 Mo 2.62-2.76
Si: 0.8404 0.8404 0.3334  5 Mo 2.56-2.76, 2 Ga 2.57, 3 Si 2.62-2.79
Ga: 0.6693 0.1629 0.9965  5 Si 2.57-2.78, 5 Mo 2.62-2.76
Mo: 0.5035 0.5035 0.3333  8 Si 2.58-2.82, 2 Ga 2.62
Si: 0.3244 0.8413 0.0015  1 Si 2.55, 4 Ga 2.57-2.78, 5 Mo 2.58-2.76
Mo: 0.9973 0.4968 0.0090  6 Si 2.53-2.76, 4 Ga 2.62-2.76

Values from the calculation:
Energy relative to the elements: -8.38 kcal/mol of atoms
Space group: C2
E: -63.56 eV for the cell shown